# 1
{"formula": "Na14Si11Sn8SO48", "functional": "PBE", "state": "relaxed", "cell": [[9.087, 0.000, 0.000], [-0.001, 15.730, 0.000], [-0.060, -0.081, 22.584]], "species": ["Na", "Na", "Na", "Na", "Na", "Na", "Na", "Na", "Na", "Na", "Na", "Na", "Na", "Na", "Na", "Na", "Na", "Na", "Na", "Na", "Na", "Na", "Na", "Na", "Na", "Na", "Na", "Na", "Na", "Na", "Na", "Na", "Na", "Na", "Na", "Na", "Na", "Na", "Na", "Na", "Na", "Na", "Si", "Si", "Si", "Si", "Si", "Si", "Si", "Si", "Si", "Si", "Si", "Si", "Si", "Si", "Si", "Si", "Si", "Si", "Si", "Si", "Si", "Si", "Si", "Si", "Si", "Si", "Si", "Si", "Si", "Si", "Si", "Si", "Si", "Sn", "Sn", "Sn", "Sn", "Sn", "Sn", "Sn", "Sn", "Sn", "Sn", "Sn", "Sn", "Sn", "Sn", "Sn", "Sn", "Sn", "Sn", "Sn", "Sn", "Sn", "Sn", "Sn", "Sn", "S", "S", "S", "O", "O", "O", "O", "O", "O", "O", "O", "O", "O", "O", "O", "O", "O", "O", "O", "O", "O", "O", "O", "O", "O", "O", "O", "O", "O", "O", "O", "O", "O", "O", "O", "O", "O", "O", "O", "O", "O", "O", "O", "O", "O", "O", "O", "O", "O", "O", "O", "O", "O", "O", "O", "O", "O", "O", "O", "O", "O", "O", "O", "O", "O", "O", "O", "O", "O", "O", "O", "O", "O", "O", "O", "O", "O", "O", "O", "O", "O", "O", "O", "O", "O", "O", "O", "O", "O", "O", "O", "O", "O", "O", "O", "O", "O", "O", "O", "O", "O", "O", "O", "O", "O", "O", "O", "O", "O", "O", "O", "O", "O", "O", "O", "O", "O", "O", "O", "O", "O", "O", "O", "O", "O", "O", "O", "O", "O", "O", "O", "O", "O", "O", "O", "O", "O", "O", "O", "O", "O", "O", "O", "O", "O", "O", "O"], "frac_coords": [[0.000, 0.000, 0.000], [0.000, 0.034, 0.669], [0.002, 0.336, 0.334], [0.131, 0.836, 0.833], [0.132, 0.535, 0.169], [0.133, 0.167, 0.167], [0.133, 0.202, 0.833], [0.137, 0.864, 0.500], [0.181, 0.518, 0.830], [0.182, 0.853, 0.166], [0.306, 0.347, 0.418], [0.316, 0.685, 0.749], [0.317, 0.018, 0.083], [0.317, 0.686, 0.250], [0.324, 0.352, 0.915], [0.329, 0.021, 0.581], [0.451, 0.853, 0.666], [0.452, 0.518, 0.331], [0.453, 0.184, 0.999], [0.498, 0.168, 0.666], [0.498, 0.202, 0.333], [0.500, 0.534, 0.669], [0.501, 0.868, 0.000], [0.503, 0.836, 0.333], [0.633, 0.335, 0.833], [0.634, 0.035, 0.166], [0.636, 0.702, 0.833], [0.637, 0.364, 0.500], [0.637, 0.669, 0.166], [0.685, 0.018, 0.833], [0.685, 0.352, 0.166], [0.804, 0.522, 0.082], [0.806, 0.847, 0.418], [0.816, 0.185, 0.750], [0.817, 0.185, 0.249], [0.820, 0.847, 0.918], [0.829, 0.521, 0.581], [0.950, 0.353, 0.666], [0.951, 0.018, 0.330], [0.996, 0.365, 0.999], [0.997, 0.668, 0.666], [0.998, 0.702, 0.333], [0.020, 0.684, 0.500], [0.024, 0.019, 0.833], [0.025, 0.352, 0.165], [0.106, 0.853, 0.665], [0.111, 0.186, 0.000], [0.113, 0.518, 0.332], [0.168, 0.831, 0.999], [0.169, 0.203, 0.667], [0.170, 0.874, 0.334], [0.171, 0.163, 0.334], [0.172, 0.497, 0.665], [0.462, 0.498, 0.166], [0.463, 0.165, 0.833], [0.464, 0.204, 0.167], [0.464, 0.873, 0.832], [0.466, 0.833, 0.499], [0.520, 0.184, 0.500], [0.520, 0.518, 0.832], [0.526, 0.853, 0.166], [0.606, 0.353, 0.666], [0.612, 0.682, 0.000], [0.613, 0.018, 0.332], [0.669, 0.334, 0.000], [0.669, 0.703, 0.667], [0.671, 0.038, 0.999], [0.671, 0.375, 0.334], [0.671, 0.663, 0.334], [0.672, 0.997, 0.666], [0.962, 0.373, 0.834], [0.963, 0.664, 0.833], [0.963, 0.705, 0.166], [0.963, 0.998, 0.166], [0.966, 0.333, 0.499], [0.309, 0.345, 0.565], [0.310, 0.689, 0.602], [0.314, 0.351, 0.768], [0.315, 0.690, 0.397], [0.317, 0.018, 0.731], [0.317, 0.018, 0.935], [0.317, 0.019, 0.232], [0.318, 0.352, 0.268], [0.320, 0.689, 0.897], [0.323, 0.349, 0.066], [0.324, 0.688, 0.102], [0.331, 0.019, 0.434], [0.803, 0.520, 0.934], [0.809, 0.845, 0.565], [0.810, 0.189, 0.602], [0.815, 0.190, 0.397], [0.816, 0.186, 0.898], [0.816, 0.852, 0.768], [0.817, 0.185, 0.101], [0.817, 0.518, 0.731], [0.817, 0.519, 0.231], [0.818, 0.848, 0.063], [0.819, 0.851, 0.268], [0.831, 0.519, 0.434], [0.171, 0.538, 0.000], [0.463, 0.539, 0.500], [0.963, 0.039, 0.500], [0.006, 0.873, 0.607], [0.008, 0.528, 0.995], [0.008, 0.832, 0.724], [0.011, 0.207, 0.941], [0.011, 0.494, 0.388], [0.012, 0.166, 0.058], [0.016, 0.541, 0.273], [0.120, 0.668, 0.559], [0.122, 0.703, 0.441], [0.123, 0.039, 0.774], [0.123, 0.998, 0.892], [0.125, 0.029, 0.495], [0.125, 0.332, 0.224], [0.126, 0.373, 0.106], [0.142, 0.364, 0.829], [0.143, 0.006, 0.171], [0.143, 0.693, 0.158], [0.144, 0.671, 0.840], [0.145, 0.344, 0.503], [0.182, 0.264, 0.726], [0.186, 0.106, 0.273], [0.190, 0.935, 0.393], [0.193, 0.773, 0.940], [0.195, 0.434, 0.609], [0.198, 0.590, 0.054], [0.211, 0.274, 0.004], [0.211, 0.767, 0.662], [0.211, 0.938, 0.670], [0.214, 0.101, 0.995], [0.216, 0.433, 0.327], [0.218, 0.603, 0.340], [0.234, 0.577, 0.946], [0.237, 0.452, 0.004], [0.245, 0.109, 0.672], [0.246, 0.258, 0.329], [0.246, 0.779, 0.337], [0.249, 0.790, 0.058], [0.250, 0.924, 0.995], [0.251, 0.461, 0.726], [0.251, 0.592, 0.660], [0.251, 0.913, 0.275], [0.255, 0.121, 0.390], [0.257, 0.242, 0.611], [0.372, 0.924, 0.495], [0.382, 0.125, 0.892], [0.382, 0.241, 0.108], [0.382, 0.460, 0.226], [0.382, 0.592, 0.160], [0.383, 0.911, 0.773], [0.386, 0.259, 0.828], [0.387, 0.110, 0.171], [0.387, 0.778, 0.836], [0.387, 0.791, 0.558], [0.396, 0.453, 0.504], [0.399, 0.578, 0.446], [0.414, 0.100, 0.496], [0.416, 0.602, 0.840], [0.417, 0.433, 0.827], [0.421, 0.938, 0.171], [0.422, 0.767, 0.163], [0.432, 0.277, 0.504], [0.436, 0.590, 0.554], [0.441, 0.775, 0.440], [0.442, 0.435, 0.109], [0.445, 0.105, 0.774], [0.445, 0.265, 0.225], [0.445, 0.932, 0.891], [0.488, 0.339, 0.004], [0.490, 0.030, 0.995], [0.490, 0.671, 0.340], [0.490, 0.693, 0.659], [0.491, 0.364, 0.329], [0.493, 0.007, 0.671], [0.506, 0.373, 0.607], [0.507, 0.332, 0.724], [0.510, 0.701, 0.941], [0.511, 0.994, 0.388], [0.512, 0.666, 0.059], [0.515, 0.041, 0.273], [0.618, 0.541, 0.773], [0.620, 0.168, 0.559], [0.622, 0.203, 0.441], [0.622, 0.493, 0.888], [0.624, 0.832, 0.226], [0.624, 0.872, 0.108], [0.625, 0.529, 0.495], [0.642, 0.507, 0.171], [0.643, 0.174, 0.838], [0.644, 0.197, 0.162], [0.644, 0.863, 0.828], [0.645, 0.844, 0.503], [0.683, 0.764, 0.726], [0.686, 0.606, 0.273], [0.687, 0.273, 0.941], [0.688, 0.099, 0.058], [0.690, 0.435, 0.393], [0.695, 0.934, 0.609], [0.702, 0.773, 0.004], [0.710, 0.267, 0.662], [0.711, 0.438, 0.671], [0.717, 0.933, 0.327], [0.718, 0.103, 0.340], [0.718, 0.599, 0.996], [0.745, 0.609, 0.672], [0.746, 0.279, 0.337], [0.746, 0.758, 0.329], [0.747, 0.944, 0.004], [0.748, 0.293, 0.059], [0.751, 0.079, 0.941], [0.751, 0.092, 0.660], [0.751, 0.413, 0.275], [0.751, 0.961, 0.726], [0.754, 0.620, 0.390], [0.757, 0.742, 0.611], [0.760, 0.425, 0.995], [0.872, 0.424, 0.495], [0.877, 0.746, 0.110], [0.880, 0.621, 0.890], [0.882, 0.412, 0.775], [0.884, 0.959, 0.225], [0.885, 0.279, 0.839], [0.886, 0.093, 0.161], [0.887, 0.291, 0.558], [0.887, 0.610, 0.171], [0.888, 0.758, 0.828], [0.896, 0.953, 0.504], [0.899, 0.078, 0.446], [0.914, 0.600, 0.496], [0.921, 0.105, 0.838], [0.922, 0.438, 0.171], [0.922, 0.933, 0.828], [0.923, 0.267, 0.161], [0.932, 0.777, 0.504], [0.936, 0.090, 0.554], [0.941, 0.275, 0.440], [0.942, 0.937, 0.107], [0.944, 0.435, 0.893], [0.948, 0.605, 0.773], [0.951, 0.764, 0.226], [0.989, 0.193, 0.659], [0.990, 0.171, 0.340], [0.991, 0.845, 0.003], [0.991, 0.864, 0.329], [0.992, 0.507, 0.671]], "final_energy_ev_per_atom": -6.448}

# 2
{"formula": "Na2Si2Sn2SO12", "functional": "PBE", "state": "relaxed", "cell": [[-3.144, 6.404, -5.415], [-5.517, -4.169, 5.692], [4.552, 15.674, 15.888]], "species": ["Na", "Na", "Na", "Na", "Na", "Na", "Na", "Na", "Na", "Na", "Na", "Na", "Si", "Si", "Si", "Si", "Si", "Si", "Si", "Si", "Si", "Si", "Si", "Si", "Sn", "Sn", "Sn", "Sn", "Sn", "Sn", "Sn", "Sn", "Sn", "Sn", "Sn", "Sn", "S", "S", "S", "S", "S", "S", "O", "O", "O", "O", "O", "O", "O", "O", "O", "O", "O", "O", "O", "O", "O", "O", "O", "O", "O", "O", "O", "O", "O", "O", "O", "O", "O", "O", "O", "O", "O", "O", "O", "O", "O", "O", "O", "O", "O", "O", "O", "O", "O", "O", "O", "O", "O", "O", "O", "O", "O", "O", "O", "O", "O", "O", "O", "O", "O", "O", "O", "O", "O", "O", "O", "O", "O", "O", "O", "O", "O", "O"], "frac_coords": [[0.993, 0.626, 0.254], [0.374, 0.007, 0.754], [0.659, 0.960, 0.587], [0.040, 0.341, 0.087], [0.326, 0.293, 0.920], [0.707, 0.674, 0.420], [0.012, 0.990, 0.500], [0.010, 0.988, 0.000], [0.679, 0.323, 0.834], [0.677, 0.321, 0.334], [0.346, 0.656, 0.167], [0.344, 0.654, 0.667], [0.703, 0.709, 0.250], [0.998, 0.291, 0.248], [0.291, 0.297, 0.750], [0.709, 0.002, 0.748], [0.369, 0.042, 0.583], [0.665, 0.624, 0.582], [0.958, 0.631, 0.083], [0.376, 0.335, 0.082], [0.036, 0.376, 0.917], [0.332, 0.958, 0.915], [0.624, 0.964, 0.417], [0.042, 0.668, 0.415], [0.985, 0.994, 0.352], [0.006, 0.015, 0.852], [0.000, 0.998, 0.647], [0.002, 0.000, 0.147], [0.652, 0.327, 0.686], [0.673, 0.348, 0.186], [0.667, 0.332, 0.981], [0.668, 0.333, 0.481], [0.318, 0.661, 0.019], [0.339, 0.682, 0.519], [0.333, 0.665, 0.314], [0.335, 0.667, 0.814], [0.295, 0.004, 0.251], [0.996, 0.705, 0.751], [0.962, 0.337, 0.584], [0.663, 0.038, 0.084], [0.628, 0.671, 0.917], [0.329, 0.372, 0.417], [0.218, 0.033, 0.304], [0.826, 0.779, 0.309], [0.979, 0.178, 0.307], [0.221, 0.174, 0.809], [0.967, 0.782, 0.804], [0.822, 0.021, 0.807], [0.786, 0.967, 0.688], [0.172, 0.203, 0.693], [0.029, 0.813, 0.698], [0.797, 0.828, 0.193], [0.033, 0.214, 0.188], [0.187, 0.971, 0.198], [0.885, 0.366, 0.637], [0.492, 0.112, 0.642], [0.645, 0.512, 0.640], [0.888, 0.508, 0.142], [0.634, 0.115, 0.137], [0.488, 0.355, 0.140], [0.452, 0.300, 0.021], [0.838, 0.536, 0.026], [0.695, 0.147, 0.031], [0.464, 0.162, 0.526], [0.700, 0.548, 0.521], [0.853, 0.305, 0.531], [0.551, 0.699, 0.970], [0.159, 0.445, 0.976], [0.312, 0.845, 0.974], [0.555, 0.841, 0.476], [0.301, 0.449, 0.470], [0.155, 0.688, 0.474], [0.119, 0.633, 0.354], [0.505, 0.869, 0.360], [0.362, 0.480, 0.364], [0.131, 0.495, 0.860], [0.367, 0.881, 0.854], [0.520, 0.638, 0.864], [0.027, 0.845, 0.411], [0.815, 0.977, 0.413], [0.178, 0.197, 0.411], [0.023, 0.185, 0.913], [0.155, 0.973, 0.911], [0.803, 0.822, 0.911], [0.972, 0.177, 0.588], [0.179, 0.024, 0.589], [0.829, 0.824, 0.587], [0.976, 0.821, 0.089], [0.823, 0.028, 0.088], [0.176, 0.171, 0.087], [0.694, 0.179, 0.744], [0.482, 0.311, 0.747], [0.845, 0.530, 0.744], [0.689, 0.518, 0.247], [0.821, 0.306, 0.244], [0.470, 0.155, 0.244], [0.638, 0.510, 0.922], [0.846, 0.357, 0.922], [0.496, 0.158, 0.921], [0.643, 0.154, 0.422], [0.490, 0.362, 0.422], [0.842, 0.504, 0.421], [0.361, 0.512, 0.077], [0.148, 0.644, 0.080], [0.512, 0.864, 0.077], [0.356, 0.852, 0.580], [0.488, 0.639, 0.577], [0.136, 0.488, 0.577], [0.305, 0.844, 0.255], [0.513, 0.691, 0.255], [0.162, 0.491, 0.254], [0.309, 0.487, 0.755], [0.156, 0.695, 0.755], [0.509, 0.838, 0.754]], "final_energy_ev_per_atom": -6.424}

Number 1: theoretical density 3.674 g cm⁻³, M_tot 0.00 μB per formula unit. Number 2: theoretical density 3.550 g cm⁻³, M_tot 0.00 μB per formula unit.